[1]
## BaAgSb (meta-GGA r2SCAN)

Data for BaAgSb after structural relaxation.

Computed properties:
E_form	-0.89	eV/atom
magnetization	0.000	μB per formula unit

a b c (Å): 4.8683 4.8683 9.3818
angles (deg): 90.00 90.00 120.00
Space group P6_3/mmc (No. 194)
Symmetry-distinct sites (fractional):
Ba (0.0000, 0.0000, 0.0000) [2 per cell]
Ag (0.3333, 0.6667, 0.2500) [2 per cell]
Sb (0.3333, 0.6667, 0.7500) [2 per cell]


[2]
## Ba2Si3Ag (meta-GGA r2SCAN)

Data for Ba2Si3Ag after structural relaxation.

Computed properties:
E_form	-0.48	eV/atom
magnetization	0.000	μB per formula unit

a b c (Å): 8.620 14.943 19.993
angles (deg): 90.00 90.00 90.00
Space group Fddd (No. 70, origin choice 2)
Symmetry-distinct sites (fractional):
Ba (0.125, 0.125, 0.000) [16 per cell]
Ba (0.125, 0.125, 0.501) [16 per cell]
Si (0.114, 0.295, 0.378) [32 per cell]
Si (0.125, 0.285, 0.125) [16 per cell]
Ag (0.125, 0.292, 0.625) [16 per cell]


[3]
## Ba3SrAg4 (meta-GGA r2SCAN)

Data for Ba3SrAg4 after structural relaxation.

Computed properties:
E_form	-0.23	eV/atom
magnetization	0.004	μB per formula unit

a b c (Å): 6.601 4.932 8.655
angles (deg): 90.00 90.77 90.00
Space group Pm (No. 6)
Symmetry-distinct sites (fractional):
Ba (0.000, 0.000, 0.000) [1 per cell]
Ba (0.239, 0.000, 0.495) [1 per cell]
Ba (0.738, 0.500, 0.635) [1 per cell]
Sr (0.502, 0.500, 0.135) [1 per cell]
Ag (0.260, 0.500, 0.790) [1 per cell]
Ag (0.484, 0.000, 0.860) [1 per cell]
Ag (0.747, 0.000, 0.343) [1 per cell]
Ag (0.979, 0.500, 0.279) [1 per cell]


[4]
## CaAgBi (meta-GGA r2SCAN)

Data for CaAgBi after structural relaxation.

Computed properties:
E_form	-0.64	eV/atom
magnetization	0.000	μB per formula unit

a b c (Å): 4.8536 4.8536 7.8590
angles (deg): 90.00 90.00 120.00
Space group P6_3mc (No. 186)
Symmetry-distinct sites (fractional):
Ca (0.0000, 0.0000, 0.0000) [2 per cell]
Ag (0.3333, 0.6667, 0.3161) [2 per cell]
Bi (0.3333, 0.6667, 0.7152) [2 per cell]


[5]
## Cs2AgBiCl6 (meta-GGA r2SCAN)

Data for Cs2AgBiCl6 after structural relaxation.

Computed properties:
E_form	-1.51	eV/atom
magnetization	0.000	μB per formula unit

a b c (Å): 10.807 10.807 10.807
angles (deg): 90.00 90.00 90.00
Space group Fm-3m (No. 225)
Symmetry-distinct sites (fractional):
Cs (0.250, 0.250, 0.250) [8 per cell]
Ag (0.000, 0.000, 0.000) [4 per cell]
Bi (0.000, 0.000, 0.500) [4 per cell]
Cl (0.000, 0.000, 0.249) [24 per cell]


[6]
## EuAgBi (meta-GGA r2SCAN)

Data for EuAgBi after structural relaxation.

Computed properties:
E_form	-0.68	eV/atom
magnetization	7.005	μB per formula unit

a b c (Å): 4.8948 4.8948 8.3251
angles (deg): 90.00 90.00 120.00
Space group P6_3/mmc (No. 194)
Symmetry-distinct sites (fractional):
Eu (0.0000, 0.0000, 0.0000) [2 per cell]
Ag (0.3333, 0.6667, 0.2500) [2 per cell]
Bi (0.3333, 0.6667, 0.7500) [2 per cell]


[7]
## Ag2BiO3 (meta-GGA r2SCAN)

Data for Ag2BiO3 after structural relaxation.

Computed properties:
E_form	-0.66	eV/atom
magnetization	0.000	μB per formula unit

a b c (Å): 6.063 6.286 9.618
angles (deg): 90.00 90.00 90.00
Space group Pnn2 (No. 34)
Symmetry-distinct sites (fractional):
Ag (0.030, 0.248, 0.000) [4 per cell]
Ag (0.246, 0.499, 0.743) [4 per cell]
Bi (0.000, 0.000, 0.645) [2 per cell]
Bi (0.000, 0.500, 0.353) [2 per cell]
O (0.108, 0.781, 0.493) [4 per cell]
O (0.174, 0.815, 0.805) [4 per cell]
O (0.196, 0.680, 0.181) [4 per cell]


[8]
## Yb2AgBi (meta-GGA r2SCAN)

Data for Yb2AgBi after structural relaxation.

Computed properties:
E_form	-0.39	eV/atom
magnetization	1.779	μB per formula unit

a b c (Å): 7.367 7.367 7.367
angles (deg): 90.00 90.00 90.00
Space group Fm-3m (No. 225)
Symmetry-distinct sites (fractional):
Yb (0.250, 0.250, 0.250) [8 per cell]
Ag (0.000, 0.000, 0.000) [4 per cell]
Bi (0.000, 0.000, 0.500) [4 per cell]


[9]
## FeAgBr4 (meta-GGA r2SCAN)

Data for FeAgBr4 after structural relaxation.

Computed properties:
E_form	-0.64	eV/atom
magnetization	5.000	μB per formula unit

a b c (Å): 7.565 6.989 13.894
angles (deg): 90.00 92.44 90.00
Space group P2_1/c (No. 14)
Symmetry-distinct sites (fractional):
Fe (0.211, 0.177, 0.401) [4 per cell]
Ag (0.348, 0.010, 0.629) [4 per cell]
Br (0.054, 0.684, 0.192) [4 per cell]
Br (0.184, 0.167, 0.048) [4 per cell]
Br (0.306, 0.643, 0.929) [4 per cell]
Br (0.437, 0.172, 0.814) [4 per cell]


[10]
## KAgBr3 (meta-GGA r2SCAN)

Data for KAgBr3 after structural relaxation.

Computed properties:
E_form	-1.01	eV/atom
magnetization	0.000	μB per formula unit

a b c (Å): 7.6113 7.6113 17.9658
angles (deg): 90.00 90.00 120.00
Space group R3c (No. 161, hexagonal axes)
Symmetry-distinct sites (fractional):
K (0.0000, 0.0000, 0.0000) [6 per cell]
Ag (0.0000, 0.0000, 0.2471) [6 per cell]
Br (0.0010, 0.4443, 0.4977) [18 per cell]


[11]
## KAgBr3 (meta-GGA r2SCAN)

Data for KAgBr3 after structural relaxation.

Computed properties:
E_form	-1.01	eV/atom
magnetization	0.000	μB per formula unit

a b c (Å): 5.340 5.351 5.354
angles (deg): 90.02 90.03 90.12
Space group P1 (No. 1)
Symmetry-distinct sites (fractional):
K (0.000, 0.000, 0.000) [1 per cell]
Ag (0.489, 0.500, 0.501) [1 per cell]
Br (0.488, 0.000, 0.498) [1 per cell]
Br (0.489, 0.503, 0.001) [1 per cell]
Br (0.989, 0.496, 0.503) [1 per cell]


[12]
## AgW3Br7 (meta-GGA r2SCAN)

Data for AgW3Br7 after structural relaxation.

Computed properties:
E_form	-0.56	eV/atom
magnetization	0.000	μB per formula unit

a b c (Å): 9.629 15.758 9.767
angles (deg): 90.00 118.68 90.00
Space group P2_1/c (No. 14)
Symmetry-distinct sites (fractional):
Ag (0.080, 0.211, 0.410) [4 per cell]
W (0.349, 0.060, 0.028) [4 per cell]
W (0.368, 0.594, 0.435) [4 per cell]
W (0.409, 0.038, 0.795) [4 per cell]
Br (0.123, 0.003, 0.756) [4 per cell]
Br (0.135, 0.143, 0.068) [4 per cell]
Br (0.190, 0.732, 0.348) [4 per cell]
Br (0.284, 0.087, 0.502) [4 per cell]
Br (0.307, 0.572, 0.670) [4 per cell]
Br (0.389, 0.193, 0.885) [4 per cell]
Br (0.427, 0.617, 0.199) [4 per cell]


[13]
## AgCO3 (meta-GGA r2SCAN)

Data for AgCO3 after structural relaxation.

Computed properties:
E_form	-0.88	eV/atom
magnetization	0.000	μB per formula unit

a b c (Å): 4.9665 4.9665 15.9181
angles (deg): 90.00 90.00 120.00
Space group R-3c (No. 167, hexagonal axes)
Symmetry-distinct sites (fractional):
Ag (0.0000, 0.0000, 0.0000) [6 per cell]
C (0.0000, 0.0000, 0.2500) [6 per cell]
O (0.0000, 0.2592, 0.2500) [18 per cell]


[14]
## Ag2CO3 (meta-GGA r2SCAN)

Data for Ag2CO3 after structural relaxation.

Computed properties:
E_form	-0.84	eV/atom
magnetization	0.000	μB per formula unit

a b c (Å): 3.168 9.658 4.915
angles (deg): 90.00 93.95 90.00
Space group P2_1/m (No. 11)
Symmetry-distinct sites (fractional):
Ag (0.240, 0.071, 0.201) [4 per cell]
C (0.191, 0.750, 0.286) [2 per cell]
O (0.007, 0.750, 0.041) [2 per cell]
O (0.282, 0.635, 0.408) [4 per cell]


[15]
## Ca3Ag8 (meta-GGA r2SCAN)

Data for Ca3Ag8 after structural relaxation.

Computed properties:
E_form	-0.21	eV/atom
magnetization	0.000	μB per formula unit

a b c (Å): 9.930 9.930 9.930
angles (deg): 90.00 90.00 90.00
Space group Im-3m (No. 229)
Symmetry-distinct sites (fractional):
Ca (0.000, 0.000, 0.283) [12 per cell]
Ag (0.000, 0.339, 0.339) [24 per cell]
Ag (0.250, 0.250, 0.250) [8 per cell]


[16]
## CaAg (meta-GGA r2SCAN)

Data for CaAg after structural relaxation.

Computed properties:
E_form	-0.31	eV/atom
magnetization	0.000	μB per formula unit

a b c (Å): 4.045 11.505 4.612
angles (deg): 90.00 90.00 90.00
Space group Cmcm (No. 63)
Symmetry-distinct sites (fractional):
Ca (0.000, 0.142, 0.250) [4 per cell]
Ag (0.000, 0.426, 0.250) [4 per cell]


[17]
## Ca2CuAg (meta-GGA r2SCAN)

Data for Ca2CuAg after structural relaxation.

Computed properties:
E_form	-0.19	eV/atom
magnetization	0.001	μB per formula unit

a b c (Å): 4.373 4.235 10.991
angles (deg): 90.00 90.00 90.00
Space group Amm2 (No. 38)
Symmetry-distinct sites (fractional):
Ca (0.000, 0.000, 0.000) [2 per cell]
Ca (0.500, 0.000, 0.284) [2 per cell]
Cu (0.500, 0.000, 0.575) [2 per cell]
Ag (0.000, 0.000, 0.707) [2 per cell]


[18]
## Ca2Ga7Ag (meta-GGA r2SCAN)

Data for Ca2Ga7Ag after structural relaxation.

Computed properties:
E_form	-0.42	eV/atom
magnetization	0.000	μB per formula unit

a b c (Å): 4.244 4.244 10.978
angles (deg): 90.00 90.00 90.00
Space group P-4m2 (No. 115)
Symmetry-distinct sites (fractional):
Ca (0.000, 0.500, 0.250) [2 per cell]
Ga (0.000, 0.000, 0.000) [1 per cell]
Ga (0.000, 0.000, 0.500) [1 per cell]
Ga (0.000, 0.500, 0.637) [2 per cell]
Ga (0.000, 0.500, 0.862) [2 per cell]
Ga (0.500, 0.500, 0.500) [1 per cell]
Ag (0.500, 0.500, 0.000) [1 per cell]


[19]
## CaAgGe (meta-GGA r2SCAN)

Data for CaAgGe after structural relaxation.

Computed properties:
E_form	-0.53	eV/atom
magnetization	0.000	μB per formula unit

a b c (Å): 21.569 4.562 7.850
angles (deg): 90.00 90.00 90.00
Space group Pnma (No. 62)
Symmetry-distinct sites (fractional):
Ca (0.000, 0.250, 0.219) [4 per cell]
Ca (0.166, 0.250, 0.293) [4 per cell]
Ca (0.167, 0.750, 0.708) [4 per cell]
Ag (0.064, 0.750, 0.418) [4 per cell]
Ag (0.096, 0.250, 0.919) [4 per cell]
Ag (0.236, 0.250, 0.912) [4 per cell]
Ge (0.073, 0.250, 0.593) [4 per cell]
Ge (0.103, 0.750, 0.089) [4 per cell]
Ge (0.228, 0.750, 0.083) [4 per cell]